#a
# Nd2MgSe4 (PBE, optimized geometry)
# Theoretical density (Mg/m³): 5.52
# Magnetization (μB/f.u.): 0.000
data_Nd2MgSe4
_chemical_formula_sum 'Nd16 Mg8 Se32'
_symmetry_space_group_name_H-M 'P 1'
_symmetry_Int_Tables_number 1
_cell_length_a 13.605
_cell_length_b 8.147
_cell_length_c 13.649
_cell_angle_alpha 90.00
_cell_angle_beta 90.00
_cell_angle_gamma 90.00
loop_
_symmetry_equiv_pos_as_xyz
'x,y,z'
loop_
_atom_site_label
_atom_site_type_symbol
_atom_site_fract_x
_atom_site_fract_y
_atom_site_fract_z
_atom_site_occupancy
Se1 Se 0.768 0.866 0.274 1
Se2 Se 0.971 0.617 0.629 1
Se3 Se 0.047 0.875 0.139 1
Se4 Se 0.709 0.118 0.497 1
Nd1 Nd 0.865 0.869 0.493 1
Nd2 Nd 0.366 0.631 0.493 1
Se5 Se 0.953 0.125 0.639 1
Nd3 Nd 0.635 0.869 0.993 1
Se6 Se 0.526 0.626 0.868 1
Se7 Se 0.267 0.637 0.277 1
Se8 Se 0.529 0.617 0.129 1
Se9 Se 0.732 0.866 0.774 1
Mg1 Mg 0.126 0.880 0.320 1
Nd4 Nd 0.634 0.369 0.993 1
Se10 Se 0.291 0.882 0.997 1
Se11 Se 0.489 0.882 0.380 1
Nd5 Nd 0.373 0.384 0.826 1
Se12 Se 0.268 0.134 0.274 1
Mg2 Mg 0.112 0.385 0.693 1
Nd6 Nd 0.627 0.616 0.326 1
Se13 Se 0.474 0.374 0.368 1
Se14 Se 0.511 0.118 0.880 1
Nd7 Nd 0.108 0.885 0.685 1
Nd8 Nd 0.127 0.384 0.326 1
Nd9 Nd 0.866 0.369 0.493 1
Nd10 Nd 0.135 0.131 0.993 1
Se15 Se 0.471 0.383 0.629 1
Se16 Se 0.233 0.637 0.777 1
Nd11 Nd 0.392 0.885 0.185 1
Mg3 Mg 0.626 0.120 0.320 1
Se17 Se 0.989 0.118 0.380 1
Se18 Se 0.209 0.882 0.497 1
Se19 Se 0.029 0.383 0.129 1
Se20 Se 0.974 0.626 0.368 1
Nd12 Nd 0.134 0.631 0.993 1
Se21 Se 0.791 0.118 0.997 1
Mg4 Mg 0.374 0.880 0.820 1
Se22 Se 0.790 0.618 0.023 1
Se23 Se 0.210 0.382 0.523 1
Se24 Se 0.710 0.618 0.523 1
Nd13 Nd 0.892 0.115 0.185 1
Se25 Se 0.767 0.363 0.277 1
Se26 Se 0.290 0.382 0.023 1
Nd14 Nd 0.365 0.131 0.493 1
Se27 Se 0.026 0.374 0.868 1
Mg5 Mg 0.388 0.385 0.193 1
Mg6 Mg 0.888 0.615 0.193 1
Se28 Se 0.733 0.363 0.777 1
Se29 Se 0.453 0.875 0.639 1
Mg7 Mg 0.874 0.120 0.820 1
Se30 Se 0.547 0.125 0.139 1
Nd15 Nd 0.608 0.115 0.685 1
Se31 Se 0.232 0.134 0.774 1
Nd16 Nd 0.873 0.616 0.826 1
Mg8 Mg 0.612 0.615 0.693 1
Se32 Se 0.011 0.882 0.880 1

***

#b
# Nd2MgSe4 (PBE, optimized geometry)
# Theoretical density (Mg/m³): 5.17
# Magnetization (μB/f.u.): 0.001
data_Nd2MgSe4
_chemical_formula_sum 'Nd8 Mg4 Se16'
_symmetry_space_group_name_H-M 'P 1'
_symmetry_Int_Tables_number 1
_cell_length_a 8.412
_cell_length_b 7.751
_cell_length_c 12.394
_cell_angle_alpha 90.00
_cell_angle_beta 90.00
_cell_angle_gamma 90.00
loop_
_symmetry_equiv_pos_as_xyz
'x,y,z'
loop_
_atom_site_label
_atom_site_type_symbol
_atom_site_fract_x
_atom_site_fract_y
_atom_site_fract_z
_atom_site_occupancy
Se1 Se 0.103 0.750 0.549 1
Mg1 Mg 0.816 0.750 0.588 1
Se2 Se 0.359 0.998 0.344 1
Se3 Se 0.897 0.250 0.451 1
Se4 Se 0.603 0.750 0.951 1
Se5 Se 0.141 0.002 0.844 1
Se6 Se 0.641 0.498 0.656 1
Se7 Se 0.859 0.998 0.156 1
Nd1 Nd 0.433 0.750 0.532 1
Nd2 Nd 0.951 0.250 0.685 1
Se8 Se 0.718 0.750 0.389 1
Se9 Se 0.141 0.498 0.844 1
Nd3 Nd 0.049 0.750 0.315 1
Se10 Se 0.641 0.002 0.656 1
Mg2 Mg 0.684 0.250 0.088 1
Mg3 Mg 0.316 0.750 0.912 1
Se11 Se 0.859 0.502 0.156 1
Se12 Se 0.397 0.250 0.049 1
Se13 Se 0.218 0.750 0.111 1
Se14 Se 0.782 0.250 0.889 1
Nd4 Nd 0.567 0.250 0.468 1
Nd5 Nd 0.067 0.250 0.032 1
Nd6 Nd 0.549 0.750 0.185 1
Nd7 Nd 0.933 0.750 0.968 1
Mg4 Mg 0.184 0.250 0.412 1
Se15 Se 0.282 0.250 0.611 1
Nd8 Nd 0.451 0.250 0.815 1
Se16 Se 0.359 0.502 0.344 1

***

Quick one: least stable of them? #b

***

#a
# MgFeCu5S4 (PBE, optimized geometry)
# Theoretical density (Mg/m³): 4.91
# Magnetization (μB/f.u.): 2.460
data_MgFeCu5S4
_chemical_formula_sum 'Mg1 Fe1 Cu5 S4'
_symmetry_space_group_name_H-M 'P 1'
_symmetry_Int_Tables_number 1
_cell_length_a 3.844
_cell_length_b 3.837
_cell_length_c 14.110
_cell_angle_alpha 97.74
_cell_angle_beta 90.00
_cell_angle_gamma 120.06
loop_
_symmetry_equiv_pos_as_xyz
'x,y,z'
loop_
_atom_site_label
_atom_site_type_symbol
_atom_site_fract_x
_atom_site_fract_y
_atom_site_fract_z
_atom_site_occupancy
Cu1 Cu 0.560 0.120 0.684 1
S1 S 0.007 0.014 0.020 1
Cu2 Cu 0.451 0.902 0.358 1
S2 S 0.509 0.018 0.521 1
Cu3 Cu 0.171 0.341 0.508 1
S3 S 0.761 0.522 0.284 1
Fe1 Fe 0.676 0.353 0.029 1
Mg1 Mg 0.067 0.133 0.199 1
Cu4 Cu 0.306 0.612 0.920 1
Cu5 Cu 0.933 0.865 0.802 1
S4 S 0.252 0.505 0.758 1

***

#b
# MgFeCu5S4 (PBE, optimized geometry)
# Theoretical density (Mg/m³): 5.05
# Magnetization (μB/f.u.): 2.977
data_MgFeCu5S4
_chemical_formula_sum 'Mg1 Fe1 Cu5 S4'
_symmetry_space_group_name_H-M 'P 1'
_symmetry_Int_Tables_number 1
_cell_length_a 3.897
_cell_length_b 3.897
_cell_length_c 13.350
_cell_angle_alpha 98.24
_cell_angle_beta 90.00
_cell_angle_gamma 120.00
loop_
_symmetry_equiv_pos_as_xyz
'x,y,z'
loop_
_atom_site_label
_atom_site_type_symbol
_atom_site_fract_x
_atom_site_fract_y
_atom_site_fract_z
_atom_site_occupancy
S1 S 0.005 0.010 0.014 1
Cu1 Cu 0.946 0.893 0.840 1
S2 S 0.505 0.009 0.508 1
S3 S 0.254 0.508 0.759 1
Cu2 Cu 0.196 0.392 0.585 1
S4 S 0.744 0.489 0.237 1
Cu3 Cu 0.410 0.819 0.233 1
Cu4 Cu 0.318 0.635 0.951 1
Mg1 Mg 0.808 0.616 0.417 1
Fe1 Fe 0.686 0.373 0.059 1
Cu5 Cu 0.570 0.141 0.709 1

***

Quick one: least stable of them? #a

***

#a
# Te4MoW3Se2S2 (PBE, optimized geometry)
# Theoretical density (Mg/m³): 5.89
# Magnetization (μB/f.u.): 0.000
data_Te4MoW3Se2S2
_chemical_formula_sum 'Te4 Mo1 W3 Se2 S2'
_symmetry_space_group_name_H-M 'P 1'
_symmetry_Int_Tables_number 1
_cell_length_a 3.400
_cell_length_b 3.400
_cell_length_c 38.890
_cell_angle_alpha 90.00
_cell_angle_beta 90.00
_cell_angle_gamma 120.00
loop_
_symmetry_equiv_pos_as_xyz
'x,y,z'
loop_
_atom_site_label
_atom_site_type_symbol
_atom_site_fract_x
_atom_site_fract_y
_atom_site_fract_z
_atom_site_occupancy
Te1 Te 0.333 0.667 0.421 1
S1 S 0.333 0.667 0.133 1
Se1 Se 0.000 0.000 0.700 1
Mo1 Mo 0.000 0.000 0.094 1
S2 S 0.333 0.667 0.055 1
Te2 Te 0.000 0.000 0.330 1
Te3 Te 0.333 0.667 0.518 1
W1 W 0.333 0.667 0.282 1
Se2 Se 0.000 0.000 0.615 1
Te4 Te 0.000 0.000 0.233 1
W2 W 0.333 0.667 0.658 1
W3 W 0.000 0.000 0.470 1

***

#b
# Te4MoW3Se2S2 (PBE, optimized geometry)
# Theoretical density (Mg/m³): 5.92
# Magnetization (μB/f.u.): 0.000
data_Te4MoW3Se2S2
_chemical_formula_sum 'Te4 Mo1 W3 Se2 S2'
_symmetry_space_group_name_H-M 'P 1'
_symmetry_Int_Tables_number 1
_cell_length_a 3.396
_cell_length_b 3.396
_cell_length_c 38.746
_cell_angle_alpha 90.00
_cell_angle_beta 90.00
_cell_angle_gamma 120.00
loop_
_symmetry_equiv_pos_as_xyz
'x,y,z'
loop_
_atom_site_label
_atom_site_type_symbol
_atom_site_fract_x
_atom_site_fract_y
_atom_site_fract_z
_atom_site_occupancy
W1 W 0.333 0.667 0.658 1
Te1 Te 0.000 0.000 0.609 1
S1 S 0.333 0.667 0.431 1
Te2 Te 0.000 0.000 0.706 1
Se1 Se 0.000 0.000 0.325 1
W2 W 0.333 0.667 0.282 1
Se2 Se 0.000 0.000 0.239 1
S2 S 0.333 0.667 0.509 1
Te3 Te 0.333 0.667 0.142 1
Mo1 Mo 0.000 0.000 0.094 1
W3 W 0.000 0.000 0.470 1
Te4 Te 0.333 0.667 0.046 1

***

Quick one: least stable of them? #a

***

#a
# LiCr2S4 (PBE, optimized geometry)
# Theoretical density (Mg/m³): 3.40
# Magnetization (μB/f.u.): 5.001
data_LiCr2S4
_chemical_formula_sum 'Li4 Cr8 S16'
_symmetry_space_group_name_H-M 'P 1'
_symmetry_Int_Tables_number 1
_cell_length_a 3.467
_cell_length_b 10.868
_cell_length_c 12.395
_cell_angle_alpha 90.00
_cell_angle_beta 90.00
_cell_angle_gamma 90.00
loop_
_symmetry_equiv_pos_as_xyz
'x,y,z'
loop_
_atom_site_label
_atom_site_type_symbol
_atom_site_fract_x
_atom_site_fract_y
_atom_site_fract_z
_atom_site_occupancy
Cr1 Cr 0.750 0.441 0.617 1
Cr2 Cr 0.250 0.559 0.383 1
S1 S 0.750 0.620 0.028 1
S2 S 0.750 0.029 0.712 1
Cr3 Cr 0.750 0.413 0.101 1
S3 S 0.250 0.585 0.573 1
Cr4 Cr 0.250 0.587 0.899 1
Cr5 Cr 0.250 0.087 0.601 1
Cr6 Cr 0.750 0.913 0.399 1
S4 S 0.250 0.798 0.837 1
S5 S 0.750 0.915 0.073 1
S6 S 0.250 0.085 0.927 1
S7 S 0.750 0.202 0.163 1
S8 S 0.750 0.702 0.337 1
S9 S 0.250 0.471 0.212 1
S10 S 0.250 0.380 0.972 1
Li1 Li 0.750 0.258 0.839 1
S11 S 0.250 0.298 0.663 1
Cr7 Cr 0.250 0.059 0.117 1
S12 S 0.250 0.880 0.528 1
Li2 Li 0.250 0.242 0.339 1
S13 S 0.750 0.529 0.788 1
Cr8 Cr 0.750 0.941 0.883 1
S14 S 0.750 0.120 0.472 1
Li3 Li 0.750 0.758 0.661 1
S15 S 0.750 0.415 0.427 1
S16 S 0.250 0.971 0.288 1
Li4 Li 0.250 0.742 0.161 1

***

#b
# LiCr2S4 (PBE, optimized geometry)
# Theoretical density (Mg/m³): 3.20
data_LiCr2S4
_chemical_formula_sum 'Li2 Cr4 S8'
_symmetry_space_group_name_H-M 'P 1'
_symmetry_Int_Tables_number 1
_cell_length_a 6.858
_cell_length_b 5.905
_cell_length_c 6.135
_cell_angle_alpha 90.59
_cell_angle_beta 90.00
_cell_angle_gamma 89.98
loop_
_symmetry_equiv_pos_as_xyz
'x,y,z'
loop_
_atom_site_label
_atom_site_type_symbol
_atom_site_fract_x
_atom_site_fract_y
_atom_site_fract_z
_atom_site_occupancy
S1 S 0.500 0.331 0.285 1
Cr1 Cr 0.250 0.500 0.500 1
S2 S 0.750 0.167 0.720 1
S3 S 0.000 0.330 0.285 1
S4 S 0.000 0.670 0.715 1
Cr2 Cr 0.000 0.000 0.500 1
S5 S 0.250 0.833 0.280 1
Cr3 Cr 0.750 0.500 0.500 1
Cr4 Cr 0.500 0.000 0.500 1
S6 S 0.750 0.833 0.280 1
S7 S 0.500 0.669 0.715 1
S8 S 0.250 0.167 0.720 1
Li1 Li 0.000 0.000 0.000 1
Li2 Li 0.500 0.000 0.000 1

***

Quick one: least stable of them? #a